Material: Ru6C17S2O17
Method: DFT, GGA-PBE
State: optimized geometry

Calculated values
The formation energy comes out at -0.5046 eV/atom. As for the space group: P2_12_12_1, No. 19. Its energy is -1289.49 eV for the cell shown.

The structure in POSCAR format:
```
Ru6C17S2O17
1.0
-8.924 6.196 3.637
-7.083 -12.636 4.146
7.397 1.160 16.174
Ru C S O
24 68 8 68
direct
0.956 0.063 0.185 Ru
0.626 0.804 0.106 Ru
0.544 0.937 0.685 Ru
0.374 0.304 0.394 Ru
0.255 0.400 0.897 Ru
0.745 0.900 0.603 Ru
0.959 0.005 0.577 Ru
0.459 0.495 0.423 Ru
0.041 0.505 0.923 Ru
0.723 0.072 0.694 Ru
0.245 0.600 0.397 Ru
0.456 0.437 0.815 Ru
0.755 0.100 0.103 Ru
0.223 0.428 0.306 Ru
0.044 0.563 0.315 Ru
0.023 0.595 0.770 Ru
0.874 0.196 0.606 Ru
0.126 0.696 0.894 Ru
0.541 0.995 0.077 Ru
0.777 0.928 0.194 Ru
0.277 0.572 0.806 Ru
0.523 0.905 0.230 Ru
0.477 0.405 0.270 Ru
0.977 0.095 0.730 Ru
0.297 0.221 0.333 C
0.940 0.894 0.524 C
0.447 0.300 0.215 C
0.868 0.119 0.267 C
0.348 0.379 0.986 C
0.988 0.765 0.891 C
0.256 0.710 0.378 C
0.325 0.247 0.485 C
0.464 0.970 0.314 C
0.983 0.568 0.008 C
0.797 0.279 0.667 C
0.885 0.473 0.897 C
0.053 0.700 0.715 C
0.010 0.995 0.098 C
0.399 0.654 0.812 C
0.017 0.068 0.492 C
0.744 0.210 0.122 C
0.793 0.928 0.300 C
0.512 0.235 0.391 C
0.563 0.493 0.746 C
0.483 0.932 0.992 C
0.707 0.072 0.800 C
0.560 0.106 0.024 C
0.964 0.530 0.686 C
0.601 0.154 0.688 C
0.453 0.838 0.662 C
0.440 0.606 0.476 C
0.990 0.495 0.402 C
0.536 0.470 0.186 C
0.675 0.747 0.015 C
0.756 0.790 0.622 C
0.385 0.027 0.103 C
0.012 0.265 0.609 C
0.490 0.005 0.598 C
0.036 0.030 0.814 C
0.510 0.505 0.902 C
0.371 0.867 0.205 C
0.437 0.993 0.754 C
0.615 0.527 0.397 C
0.244 0.290 0.878 C
0.488 0.735 0.109 C
0.368 0.381 0.733 C
0.703 0.721 0.167 C
0.047 0.162 0.162 C
0.848 0.121 0.014 C
0.063 0.007 0.254 C
0.632 0.881 0.767 C
0.652 0.879 0.514 C
0.207 0.428 0.200 C
0.825 0.253 0.515 C
0.553 0.800 0.285 C
0.101 0.346 0.312 C
0.115 0.973 0.603 C
0.203 0.779 0.833 C
0.629 0.367 0.295 C
0.060 0.394 0.976 C
0.129 0.133 0.705 C
0.937 0.507 0.246 C
0.132 0.619 0.233 C
0.152 0.621 0.486 C
0.547 0.338 0.838 C
0.899 0.846 0.188 C
0.953 0.662 0.338 C
0.517 0.432 0.508 C
0.871 0.633 0.795 C
0.175 0.753 0.985 C
0.947 0.200 0.785 C
0.293 0.572 0.700 C
0.738 0.926 0.059 S
0.262 0.426 0.441 S
0.880 0.956 0.700 S
0.120 0.456 0.800 S
0.238 0.574 0.941 S
0.380 0.544 0.300 S
0.762 0.074 0.559 S
0.620 0.044 0.200 S
0.451 0.044 0.548 O
0.176 0.652 0.182 O
0.306 0.567 0.636 O
0.794 0.292 0.463 O
0.629 0.525 0.705 O
0.224 0.154 0.693 O
0.409 0.687 0.106 O
0.211 0.954 0.616 O
0.549 0.544 0.952 O
0.976 0.795 0.184 O
0.907 0.136 0.963 O
0.024 0.295 0.316 O
0.824 0.152 0.318 O
0.428 0.009 0.365 O
0.748 0.664 0.200 O
0.928 0.491 0.635 O
0.294 0.208 0.537 O
0.093 0.636 0.537 O
0.951 0.456 0.452 O
0.252 0.164 0.300 O
0.407 0.364 0.037 O
0.806 0.933 0.364 O
0.439 0.237 0.179 O
0.289 0.046 0.116 O
0.106 0.225 0.147 O
0.524 0.205 0.684 O
0.752 0.336 0.700 O
0.555 0.397 0.561 O
0.055 0.103 0.439 O
0.733 0.277 0.861 O
0.206 0.792 0.037 O
0.724 0.346 0.307 O
0.894 0.725 0.353 O
0.324 0.348 0.682 O
0.459 0.669 0.511 O
0.959 0.831 0.489 O
0.072 0.991 0.865 O
0.091 0.313 0.606 O
0.606 0.275 0.853 O
0.541 0.169 0.989 O
0.591 0.187 0.394 O
0.061 0.763 0.679 O
0.939 0.263 0.821 O
0.129 0.975 0.295 O
0.394 0.775 0.647 O
0.248 0.836 0.800 O
0.694 0.067 0.864 O
0.676 0.848 0.818 O
0.233 0.223 0.139 O
0.871 0.475 0.205 O
0.593 0.864 0.463 O
0.767 0.723 0.361 O
0.776 0.654 0.807 O
0.371 0.025 0.795 O
0.945 0.603 0.061 O
0.049 0.956 0.048 O
0.194 0.433 0.136 O
0.476 0.705 0.816 O
0.711 0.546 0.384 O
0.572 0.509 0.135 O
0.706 0.708 0.963 O
0.561 0.737 0.321 O
0.789 0.454 0.884 O
0.445 0.897 0.939 O
0.267 0.777 0.639 O
0.276 0.846 0.193 O
0.909 0.813 0.894 O
0.041 0.331 0.011 O
```